No. 1
Compound: Ba
Source: Materials Project
Functional: r2SCAN
Structure: optimized geometry

Cell: 4.3858 4.3858 7.1900 Å, 90.00 90.00 109.96°
Element x y z (fractional)
1 Ba 0.2532 0.2532 0.2500
2 Ba 0.7468 0.7468 0.7500

Computed properties:
Excess energy over the best structure of this formula in the dataset, meV per atom: 64.3
Energy relative to the elements, eV/atom: 0.06

***

No. 2
Compound: ErPtF7
Source: Materials Project
Functional: r2SCAN
Structure: optimized geometry

Cell: 5.3883 8.6921 11.7876 Å, 62.47 90.00 90.00°
Element x y z (fractional)
1 F 0.5418 0.7224 0.1357
2 F 0.5549 0.2543 0.3225
3 Pt 0.2414 0.7286 0.0425
4 F 0.7533 0.0198 0.0512
5 F 0.2467 0.9802 0.9488
6 F 0.5677 0.7267 0.4571
7 F 0.0418 0.2776 0.3643
8 F 0.0549 0.7457 0.1775
9 F 0.4350 0.7048 0.9123
10 F 0.4065 0.9664 0.2318
11 F 0.0677 0.2733 0.0429
12 Er 0.7614 0.8140 0.7642
13 Er 0.7386 0.8140 0.2642
14 F 0.2230 0.4773 0.1405
15 F 0.9451 0.2543 0.8225
16 F 0.7770 0.5227 0.8595
17 F 0.9350 0.2952 0.5877
18 F 0.5650 0.2952 0.0877
19 F 0.4323 0.2733 0.5429
20 F 0.5935 0.0336 0.7682
21 F 0.7230 0.5227 0.3595
22 F 0.2533 0.9802 0.4488
23 F 0.4451 0.7457 0.6775
24 F 0.0650 0.7048 0.4123
25 Pt 0.7414 0.2714 0.4575
26 F 0.0935 0.9664 0.7318
27 Er 0.2386 0.1860 0.2358
28 F 0.9323 0.7267 0.9571
29 Er 0.2614 0.1860 0.7358
30 Pt 0.7586 0.2714 0.9575
31 F 0.7467 0.0198 0.5512
32 F 0.9582 0.7224 0.6357
33 F 0.4582 0.2776 0.8643
34 F 0.9065 0.0336 0.2682
35 F 0.2770 0.4773 0.6405
36 Pt 0.2586 0.7286 0.5425

Computed properties:
Energy relative to the elements, eV/atom: -2.82

***

No. 3
Compound: PrCuSi
Source: Materials Project
Functional: r2SCAN
Structure: optimized geometry

Cell: 4.1773 4.1773 8.2181 Å, 90.00 90.00 120.00°
Element x y z (fractional)
1 Cu 0.3333 0.6667 0.2500
2 Si 0.3333 0.6667 0.7500
3 Si 0.6667 0.3333 0.2500
4 Pr 0.0000 0.0000 0.0000
5 Cu 0.6667 0.3333 0.7500
6 Pr 0.0000 0.0000 0.5000

Computed properties:
Energy relative to the elements, eV/atom: -0.65

***

No. 4
Compound: NpGe3
Source: Materials Project
Functional: r2SCAN
Structure: optimized geometry

Cell: 4.2444 4.2444 4.2444 Å, 90.00 90.00 90.00°
Element x y z (fractional)
1 Ge 0.0000 0.5000 0.5000
2 Np 0.0000 0.0000 0.0000
3 Ge 0.5000 0.5000 0.0000
4 Ge 0.5000 0.0000 0.5000

Computed properties:
Energy relative to the elements, eV/atom: -0.26

***

No. 5
Compound: Sr4P2O
Source: Materials Project
Functional: r2SCAN
Structure: optimized geometry

Cell: 4.8143 4.8143 8.6920 Å, 106.08 106.08 90.00°
Element x y z (fractional)
1 Sr 0.3249 0.3249 0.6499
2 Sr 0.5000 0.0000 0.0000
3 Sr 0.6751 0.6751 0.3501
4 O 0.5000 0.5000 0.0000
5 Sr 0.0000 0.5000 0.0000
6 P 0.8649 0.8649 0.7299
7 P 0.1351 0.1351 0.2701

Computed properties:
Energy relative to the elements, eV/atom: -1.74

***

No. 6
Compound: BaIn2Ir
Source: Materials Project
Functional: r2SCAN
Structure: optimized geometry

Cell: 6.3688 6.3688 8.1530 Å, 90.00 90.00 139.65°
Element x y z (fractional)
1 In 0.6675 0.3325 0.5556
2 In 0.3325 0.6675 0.0556
3 Ir 0.2212 0.7788 0.7500
4 Ir 0.7788 0.2212 0.2500
5 In 0.6675 0.3325 0.9444
6 Ba 0.9481 0.0519 0.7500
7 Ba 0.0519 0.9481 0.2500
8 In 0.3325 0.6675 0.4444

Computed properties:
Energy relative to the elements, eV/atom: -0.47

***

No. 7
Compound: Ni6Ge2B
Source: Materials Project
Functional: r2SCAN
Structure: optimized geometry

Cell: 6.1405 6.1405 2.9295 Å, 90.00 90.00 120.00°
Element x y z (fractional)
1 Ni 0.0000 0.6185 0.5000
2 Ni 0.3815 0.3815 0.5000
3 Ge 0.3333 0.6667 0.0000
4 B 0.0000 0.0000 0.5000
5 Ni 0.6185 0.0000 0.5000
6 Ge 0.6667 0.3333 0.0000
7 Ni 0.2372 0.0000 0.0000
8 Ni 0.0000 0.2372 0.0000
9 Ni 0.7628 0.7628 0.0000

Computed properties:
Energy relative to the elements, eV/atom: -0.28

***

No. 8
Compound: CaAg2Ge2
Source: Materials Project
Functional: r2SCAN
Structure: optimized geometry

Cell: 4.3208 4.3208 6.2536 Å, 110.21 110.21 90.00°
Element x y z (fractional)
1 Ag 0.7500 0.2500 0.5000
2 Ag 0.2500 0.7500 0.5000
3 Ca 0.0000 0.0000 0.0000
4 Ge 0.6097 0.6097 0.2194
5 Ge 0.3903 0.3903 0.7806

Computed properties:
Energy relative to the elements, eV/atom: -0.32

***

No. 9
Compound: Sc5Sb3
Source: Materials Project
Functional: r2SCAN
Structure: optimized geometry

Cell: 7.6162 8.7641 11.1794 Å, 90.00 90.00 90.00°
Element x y z (fractional)
1 Sc 0.1468 0.7500 0.7838
2 Sb 0.4336 0.9962 0.8269
3 Sc 0.8022 0.9382 0.9387
4 Sb 0.5664 0.4962 0.1731
5 Sc 0.8532 0.2500 0.2162
6 Sc 0.0273 0.2500 0.5104
7 Sc 0.6978 0.0618 0.4386
8 Sc 0.4727 0.7500 0.0105
9 Sc 0.1978 0.0618 0.0614
10 Sc 0.3532 0.2500 0.2838
11 Sb 0.4147 0.2500 0.5380
12 Sc 0.8139 0.7500 0.2214
13 Sb 0.5664 0.0038 0.1731
14 Sb 0.4336 0.5038 0.8269
15 Sc 0.9727 0.7500 0.4895
16 Sb 0.9336 0.5038 0.6731
17 Sb 0.5854 0.7500 0.4620
18 Sc 0.1861 0.2500 0.7786
19 Sc 0.8022 0.5618 0.9387
20 Sc 0.6978 0.4382 0.4386
21 Sc 0.3022 0.5618 0.5614
22 Sc 0.6468 0.7500 0.7162
23 Sb 0.9336 0.9962 0.6731
24 Sb 0.9146 0.2500 0.9620
25 Sc 0.1978 0.4382 0.0614
26 Sb 0.0664 0.0038 0.3269
27 Sb 0.0664 0.4962 0.3269
28 Sc 0.3139 0.7500 0.2786
29 Sc 0.6861 0.2500 0.7214
30 Sb 0.0854 0.7500 0.0380
31 Sc 0.3022 0.9382 0.5614
32 Sc 0.5273 0.2500 0.9896

Computed properties:
Energy relative to the elements, eV/atom: -0.95

***

No. 10
Compound: Na3ErCl6
Source: Materials Project
Functional: r2SCAN
Structure: optimized geometry

Cell: 6.7843 7.2194 10.0614 Å, 90.00 90.83 90.00°
Element x y z (fractional)
1 Na 0.4743 0.0776 0.7581
2 Cl 0.3316 0.8052 0.5781
3 Na 0.5000 0.5000 0.0000
4 Na 0.0257 0.5776 0.7419
5 Cl 0.8316 0.6948 0.0781
6 Na 0.5257 0.9224 0.2419
7 Cl 0.8150 0.6792 0.4351
8 Er 0.5000 0.5000 0.5000
9 Na 0.9743 0.4224 0.2581
10 Cl 0.6850 0.1792 0.0649
11 Cl 0.6684 0.1948 0.4219
12 Na 0.0000 0.0000 0.5000
13 Cl 0.1684 0.3052 0.9219
14 Er 0.0000 0.0000 0.0000
15 Cl 0.3606 0.5640 0.2601
16 Cl 0.3150 0.8208 0.9351
17 Cl 0.1394 0.0640 0.2399
18 Cl 0.6394 0.4360 0.7399
19 Cl 0.8606 0.9360 0.7601
20 Cl 0.1850 0.3208 0.5649

Computed properties:
Energy relative to the elements, eV/atom: -2.24

***

No. 11
Compound: NaDyO2
Source: Materials Project
Functional: r2SCAN
Structure: optimized geometry

Cell: 6.0649 6.0649 6.0649 Å, 135.58 135.58 64.62°
Element x y z (fractional)
1 Dy 0.2500 0.7500 0.5000
2 O 0.2777 0.2777 0.0000
3 O 0.0277 0.5277 0.5000
4 O 0.4723 0.9723 0.5000
5 Dy 0.5000 0.5000 0.0000
6 O 0.7223 0.7223 0.0000
7 Na 0.0000 0.0000 0.0000
8 Na 0.7500 0.2500 0.5000

Computed properties:
Energy relative to the elements, eV/atom: -3.10

***

No. 12
Compound: LiTi2O4
Source: Materials Project
Functional: r2SCAN
Structure: optimized geometry

Cell: 5.9369 5.9369 5.9369 Å, 60.00 60.00 60.00°
Element x y z (fractional)
1 O 0.2622 0.2622 0.7133
2 Ti 0.5000 0.5000 0.5000
3 O 0.2622 0.7133 0.2622
4 Li 0.1250 0.1250 0.1250
5 O 0.7133 0.2622 0.2622
6 Ti 0.0000 0.5000 0.5000
7 O 0.7378 0.2867 0.7378
8 Ti 0.5000 0.5000 0.0000
9 O 0.7378 0.7378 0.2867
10 O 0.2867 0.7378 0.7378
11 O 0.2622 0.2622 0.2622
12 Ti 0.5000 0.0000 0.5000
13 O 0.7378 0.7378 0.7378
14 Li 0.8750 0.8750 0.8750

Computed properties:
Energy relative to the elements, eV/atom: -3.11

***

No. 13
Compound: NiS2
Source: Materials Project
Functional: r2SCAN
Structure: optimized geometry

Cell: 6.6355 6.6355 6.6355 Å, 60.00 60.00 60.00°
Element x y z (fractional)
1 S 0.3643 0.9072 0.3643
2 S 0.8857 0.8857 0.3428
3 Ni 0.1250 0.1250 0.6250
4 S 0.8857 0.8857 0.8857
5 S 0.9072 0.3643 0.3643
6 S 0.3643 0.3643 0.9072
7 S 0.3428 0.8857 0.8857
8 S 0.3643 0.3643 0.3643
9 Ni 0.1250 0.6250 0.1250
10 Ni 0.1250 0.1250 0.1250
11 Ni 0.6250 0.1250 0.1250
12 S 0.8857 0.3428 0.8857

Computed properties:
Energy relative to the elements, eV/atom: -0.30

***

No. 14
Compound: MnP2O7
Source: Materials Project
Functional: r2SCAN
Structure: optimized geometry

Cell: 7.8242 7.0481 9.0928 Å, 69.75 90.00 90.00°
Element x y z (fractional)
1 P 0.2606 0.0787 0.5544
2 Mn 0.0045 0.2702 0.7536
3 O 0.3864 0.6471 0.5999
4 P 0.7606 0.9213 0.9456
5 O 0.1405 0.2083 0.6079
6 O 0.1136 0.6471 0.0999
7 O 0.3167 0.6695 0.8874
8 O 0.8167 0.3305 0.6126
9 Mn 0.5045 0.7298 0.7464
10 O 0.4237 0.5388 0.1700
11 O 0.5763 0.4612 0.8300
12 O 0.3595 0.2083 0.1079
13 O 0.6475 0.1070 0.9484
14 O 0.3079 0.2002 0.3869
15 O 0.4147 0.9959 0.6598
16 O 0.6833 0.3305 0.1126
17 P 0.7394 0.9213 0.4456
18 O 0.0853 0.9959 0.1598
19 O 0.8595 0.7917 0.3921
20 O 0.6136 0.3529 0.4001
21 P 0.3011 0.6746 0.0525
22 O 0.1833 0.6695 0.3874
23 O 0.6405 0.7917 0.8921
24 O 0.5853 0.0041 0.3402
25 P 0.2394 0.0787 0.0544
26 O 0.1921 0.2002 0.8869
27 O 0.9237 0.4612 0.3300
28 Mn 0.9955 0.7298 0.2464
29 P 0.8012 0.3254 0.4475
30 P 0.1988 0.6746 0.5525
31 O 0.9147 0.0041 0.8402
32 P 0.6988 0.3254 0.9475
33 O 0.6921 0.7998 0.6131
34 O 0.8525 0.1070 0.4484
35 O 0.8864 0.3529 0.9001
36 O 0.0763 0.5388 0.6700
37 Mn 0.4955 0.2702 0.2536
38 O 0.1475 0.8930 0.5516
39 O 0.3525 0.8930 0.0516
40 O 0.8079 0.7998 0.1131

Computed properties:
Excess energy over the best structure of this formula in the dataset, meV per atom: 13.3
Energy relative to the elements, eV/atom: -2.24

***

No. 15
Compound: CdGeO3
Source: Materials Project
Functional: r2SCAN
Structure: optimized geometry

Cell: 7.0456 7.0456 5.3998 Å, 81.38 81.38 86.94°
Element x y z (fractional)
1 O 0.3914 0.8584 0.8694
2 Cd 0.9043 0.0957 0.2500
3 O 0.1416 0.6086 0.6306
4 Cd 0.2894 0.7106 0.2500
5 Ge 0.6148 0.7940 0.7251
6 Cd 0.0957 0.9043 0.7500
7 O 0.4062 0.3006 0.5627
8 O 0.6086 0.1416 0.1306
9 Cd 0.7106 0.2894 0.7500
10 Ge 0.3852 0.2060 0.2749
11 O 0.6994 0.5938 0.9373
12 O 0.7847 0.9716 0.6533
13 Ge 0.2060 0.3852 0.7749
14 O 0.8584 0.3914 0.3694
15 O 0.5938 0.6994 0.4373
16 O 0.9716 0.7847 0.1533
17 O 0.3006 0.4062 0.0627
18 O 0.2153 0.0284 0.3467
19 Ge 0.7940 0.6148 0.2251
20 O 0.0284 0.2153 0.8467

Computed properties:
Energy relative to the elements, eV/atom: -1.64

***

No. 16
Compound: YNi3
Source: Materials Project
Functional: r2SCAN
Structure: optimized geometry

Cell: 8.5221 8.5221 8.5221 Å, 33.67 33.67 33.67°
Element x y z (fractional)
1 Ni 0.9199 0.4183 0.4183
2 Ni 0.4183 0.4183 0.9199
3 Ni 0.0801 0.5817 0.5817
4 Ni 0.5000 0.5000 0.5000
5 Ni 0.5817 0.0801 0.5817
6 Ni 0.6668 0.6668 0.6668
7 Ni 0.3332 0.3332 0.3332
8 Y 0.8612 0.8612 0.8612
9 Y 0.1388 0.1388 0.1388
10 Y 0.0000 0.0000 0.0000
11 Ni 0.5817 0.5817 0.0801
12 Ni 0.4183 0.9199 0.4183

Computed properties:
Energy relative to the elements, eV/atom: -0.35

***

No. 17
Compound: HfOs
Source: Materials Project
Functional: r2SCAN
Structure: optimized geometry

Cell: 3.2435 3.2435 3.2435 Å, 90.00 90.00 90.00°
Element x y z (fractional)
1 Os 0.5000 0.5000 0.5000
2 Hf 0.0000 0.0000 0.0000

Computed properties:
Energy relative to the elements, eV/atom: -0.85

***

No. 18
Compound: Gd3MoO7
Source: Materials Project
Functional: r2SCAN
Structure: optimized geometry

Cell: 7.4694 7.4803 10.5894 Å, 90.00 90.00 90.00°
Element x y z (fractional)
1 O 0.8000 0.5317 0.1338
2 Gd 0.8014 0.2504 0.4837
3 O 0.5659 0.7474 0.7593
4 O 0.7000 0.4683 0.6338
5 Gd 0.4640 0.4890 0.2427
6 Gd 0.9640 0.0110 0.7573
7 Gd 0.3014 0.2496 0.5163
8 O 0.4341 0.2474 0.7407
9 Mo 0.5044 0.4968 0.7513
10 O 0.9967 0.7666 0.6182
11 O 0.5383 0.2552 0.3835
12 O 0.1855 0.4652 0.1217
13 Mo 0.4956 0.9968 0.7487
14 Gd 0.2826 0.2540 0.9715
15 Gd 0.2174 0.7460 0.4715
16 Gd 0.6986 0.7496 0.9837
17 O 0.0033 0.2666 0.8818
18 O 0.7144 0.0338 0.6302
19 O 0.2000 0.0317 0.3662
20 O 0.3676 0.9562 0.5982
21 O 0.9341 0.2526 0.2593
22 Mo 0.0044 0.0032 0.2487
23 O 0.2856 0.5338 0.8698
24 O 0.4967 0.7334 0.3818
25 O 0.6855 0.0348 0.8783
26 O 0.6324 0.4562 0.9018
27 Gd 0.7174 0.7540 0.5285
28 Gd 0.5360 0.9890 0.2573
29 Mo 0.9956 0.5032 0.2513
30 O 0.2144 0.4662 0.3698
31 O 0.5033 0.2334 0.1182
32 O 0.4617 0.7552 0.1165
33 O 0.0383 0.2448 0.6165
34 Gd 0.0360 0.5110 0.7427
35 Gd 0.7826 0.2460 0.0285
36 O 0.3000 0.9683 0.8662
37 O 0.8145 0.9652 0.3783
38 O 0.8676 0.5438 0.4018
39 O 0.1324 0.0438 0.0982
40 O 0.7856 0.9662 0.1302
41 Gd 0.1986 0.7504 0.0163
42 O 0.3145 0.5348 0.6217
43 O 0.9617 0.7448 0.8835
44 O 0.0659 0.7526 0.2407

Computed properties:
Energy relative to the elements, eV/atom: -3.30